## Fe10O9F11 (PBE+U)

Data for an optimized crystal structure of Fe10O9F11.

spin magnetization = 1.63 μB per atom
relative energy among the computed polymorphs = 0.46 eV/f.u.

Cell: 4.768 4.780 15.504 Å, 90.10 90.03 93.32°
Fractional coordinates of all 30 atoms:
O1 0.698 0.690 0.398
O2 0.310 0.314 0.804
O3 0.202 0.806 0.705
O4 0.187 0.811 0.102
O5 0.289 0.294 0.000
O6 0.316 0.319 0.202
O7 0.318 0.321 0.596
O8 0.295 0.287 0.398
O9 0.689 0.691 0.999
Fe1 0.452 0.505 0.700
Fe2 0.039 0.016 0.194
Fe3 0.461 0.514 0.094
Fe4 0.000 0.977 0.003
Fe5 0.035 0.008 0.793
Fe6 0.494 0.484 0.305
Fe7 0.021 0.012 0.605
Fe8 0.991 0.988 0.401
Fe9 0.497 0.476 0.906
Fe10 0.490 0.483 0.495
F1 0.808 0.183 0.899
F2 0.195 0.807 0.299
F3 0.701 0.702 0.598
F4 0.704 0.707 0.803
F5 0.705 0.712 0.204
F6 0.802 0.197 0.103
F7 0.202 0.796 0.494
F8 0.803 0.194 0.496
F9 0.191 0.802 0.899
F10 0.812 0.188 0.297
F11 0.793 0.216 0.707